Nb3Sb: relaxed, r²SCAN.

CIF file:
```
data_Nb3Sb
_chemical_formula_sum 'Nb6 Sb2'
_space_group_name_H-M_alt 'P m -3 n'
_space_group_IT_number 223
_space_group_name_Hall '-P 4n 2 3'
_cell_length_a 5.302
_cell_length_b 5.302
_cell_length_c 5.302
_cell_angle_alpha 90.00
_cell_angle_beta 90.00
_cell_angle_gamma 90.00
loop_
_atom_site_label
_atom_site_fract_x
_atom_site_fract_y
_atom_site_fract_z
Nb1 0.000 0.250 0.500
Sb1 0.000 0.000 0.000
```


DyInAg2: relaxed, r²SCAN.

CIF file:
```
data_DyInAg2
_chemical_formula_sum 'Dy4 In4 Ag8'
_space_group_name_H-M_alt 'F m -3 m'
_space_group_IT_number 225
_space_group_name_Hall '-F 4 2 3'
_cell_length_a 6.936
_cell_length_b 6.936
_cell_length_c 6.936
_cell_angle_alpha 90.00
_cell_angle_beta 90.00
_cell_angle_gamma 90.00
loop_
_atom_site_label
_atom_site_fract_x
_atom_site_fract_y
_atom_site_fract_z
Dy1 0.000 0.000 0.000
In1 0.000 0.000 0.500
Ag1 0.250 0.250 0.250
```


Li2Pr2Ge3: relaxed, r²SCAN.

CIF file:
```
data_Li2Pr2Ge3
_chemical_formula_sum 'Li8 Pr8 Ge12'
_space_group_name_H-M_alt 'C m c m'
_space_group_IT_number 63
_space_group_name_Hall '-C 2c 2'
_cell_length_a 4.474
_cell_length_b 18.805
_cell_length_c 6.960
_cell_angle_alpha 90.00
_cell_angle_beta 90.00
_cell_angle_gamma 90.00
loop_
_atom_site_label
_atom_site_fract_x
_atom_site_fract_y
_atom_site_fract_z
Li1 0.000 0.190 0.062
Pr1 0.000 0.341 0.250
Pr2 0.000 0.448 0.750
Ge1 0.000 0.061 0.568
Ge2 0.000 0.280 0.750
```


| no. | final energy (eV per formula unit) |
| --- | --- |
| 1 | -101.291 |
| 2 | -98.945 |
| 3 | -110.744 |